The following is a DFT calculation (PBE) of crystalline CoW at its relaxed geometry.

Unit cell a=3.005 b=3.005 c=3.005 alpha=90.00 beta=90.00 gamma=90.00
Element x y z (fractional)
Co 0.500 0.500 0.500
W 0.000 0.000 0.000

Properties
As for the formation energy: 0.298 eV/atom. Its total energy is -9.736 eV per atom. The calculated volume is 27.14 Å³/cell.

The following is a DFT calculation (PBE) of crystalline YCo3 at its relaxed geometry.

Unit cell a=8.622 b=8.622 c=8.622 alpha=33.67 beta=33.67 gamma=33.67
Element x y z (fractional)
Y 0.000 0.000 0.000
Co 0.418 0.921 0.418
Co 0.582 0.582 0.079
Co 0.079 0.582 0.582
Co 0.335 0.335 0.335
Co 0.500 0.500 0.500
Co 0.921 0.418 0.418
Y 0.140 0.140 0.140
Co 0.582 0.079 0.582
Y 0.860 0.860 0.860
Co 0.418 0.418 0.921
Co 0.665 0.665 0.665

Properties
As for the formation energy: -0.096 eV/atom. Its total energy is -7.044 eV per atom. The calculated volume is 175.52 Å³/cell.

The following is a DFT calculation (PBE) of crystalline YCo5 at its relaxed geometry.

Unit cell a=4.928 b=4.928 c=3.961 alpha=90.00 beta=90.00 gamma=120.00
Element x y z (fractional)
Co 0.000 0.500 0.500
Co 0.500 0.500 0.500
Co 0.500 0.000 0.500
Co 0.333 0.667 0.000
Y 0.000 0.000 0.000
Co 0.667 0.333 0.000

Properties
As for the formation energy: -0.105 eV/atom. Its total energy is -7.106 eV per atom. The calculated volume is 83.29 Å³/cell.

The following is a DFT calculation (PBE) of crystalline YCo at its relaxed geometry.

Unit cell a=7.210 b=7.210 c=7.210 alpha=31.45 beta=31.45 gamma=31.45
Element x y z (fractional)
Y 0.087 0.087 0.087
Co 0.667 0.667 0.667
Co 0.333 0.333 0.333
Y 0.913 0.913 0.913

Properties
As for the formation energy: -0.197 eV/atom. Its total energy is -6.985 eV per atom. The calculated volume is 90.58 Å³/cell.

The following is a DFT calculation (PBE) of crystalline Y2Co7 at its relaxed geometry.

Unit cell a=12.375 b=12.375 c=12.375 alpha=23.14 beta=23.14 gamma=23.14
Element x y z (fractional)
Y 0.949 0.949 0.949
Co 0.110 0.609 0.609
Co 0.279 0.279 0.279
Co 0.500 0.500 0.500
Y 0.852 0.852 0.852
Co 0.609 0.110 0.609
Co 0.890 0.391 0.391
Y 0.148 0.148 0.148
Y 0.051 0.051 0.051
Co 0.609 0.609 0.110
Co 0.391 0.890 0.391
Co 0.612 0.612 0.612
Co 0.000 0.500 0.500
Co 0.500 0.500 0.000
Co 0.721 0.721 0.721
Co 0.388 0.388 0.388
Co 0.500 0.000 0.500
Co 0.391 0.391 0.890

Properties
As for the formation energy: -0.059 eV/atom. Its total energy is -7.025 eV per atom. The calculated volume is 256.91 Å³/cell.

The following is a DFT calculation (PBE) of crystalline YCo2 at its relaxed geometry.

Unit cell a=5.041 b=5.041 c=5.041 alpha=60.00 beta=60.00 gamma=60.00
Element x y z (fractional)
Co 0.375 0.375 0.375
Co 0.875 0.375 0.375
Y 0.750 0.750 0.750
Y 0.000 0.000 0.000
Co 0.375 0.875 0.375
Co 0.375 0.375 0.875

Properties
As for the formation energy: -0.177 eV/atom. Its total energy is -7.071 eV per atom. The calculated volume is 90.57 Å³/cell.

The following is a DFT calculation (PBE) of crystalline YCo3 at its relaxed geometry.

Unit cell a=4.983 b=4.983 c=16.118 alpha=90.00 beta=90.00 gamma=120.00
Element x y z (fractional)
Co 0.166 0.834 0.128
Co 0.667 0.333 0.750
Co 0.834 0.166 0.628
Y 0.333 0.667 0.750
Co 0.333 0.667 0.250
Y 0.667 0.333 0.250
Co 0.166 0.332 0.128
Co 0.000 0.000 0.000
Co 0.000 0.000 0.250
Co 0.166 0.834 0.372
Co 0.166 0.332 0.372
Co 0.000 0.000 0.750
Co 0.834 0.668 0.872
Co 0.332 0.166 0.872
Y 0.667 0.333 0.460
Co 0.668 0.834 0.372
Co 0.000 0.000 0.500
Co 0.332 0.166 0.628
Co 0.834 0.166 0.872
Co 0.668 0.834 0.128
Y 0.333 0.667 0.540
Y 0.667 0.333 0.040
Co 0.834 0.668 0.628
Y 0.333 0.667 0.960

Properties
As for the formation energy: -0.106 eV/atom. Its total energy is -7.054 eV per atom. The calculated volume is 346.63 Å³/cell.

The following is a DFT calculation (PBE) of crystalline YCo at its relaxed geometry.

Unit cell a=5.528 b=5.528 c=3.885 alpha=90.00 beta=90.00 gamma=136.80
Element x y z (fractional)
Co 0.444 0.556 0.250
Co 0.556 0.444 0.750
Y 0.856 0.144 0.750
Y 0.144 0.856 0.250

Properties
As for the formation energy: -0.194 eV/atom. Its total energy is -6.981 eV per atom. The calculated volume is 81.28 Å³/cell.

The following is a DFT calculation (PBE) of crystalline Y4Co3 at its relaxed geometry.

Unit cell a=11.336 b=11.336 c=4.096 alpha=90.00 beta=90.00 gamma=120.00
Element x y z (fractional)
Y 0.516 0.380 0.250
Co 0.284 0.442 0.251
Y 0.620 0.136 0.250
Y 0.136 0.516 0.750
Co 0.000 0.000 0.500
Y 0.380 0.864 0.750
Co 0.716 0.558 0.749
Y 0.250 0.027 0.252
Co 0.333 0.667 0.251
Y 0.750 0.973 0.748
Y 0.864 0.484 0.250
Co 0.158 0.716 0.251
Y 0.027 0.777 0.748
Y 0.484 0.620 0.750
Co 0.442 0.158 0.749
Co 0.667 0.333 0.749
Y 0.973 0.223 0.252
Co 0.558 0.842 0.251
Co 0.842 0.284 0.749
Y 0.223 0.250 0.748
Y 0.777 0.750 0.252

Properties
As for the formation energy: -0.149 eV/atom. Its total energy is -6.891 eV per atom. The calculated volume is 455.86 Å³/cell.

The following is a DFT calculation (PBE) of crystalline YZr2Co9 at its relaxed geometry.

Unit cell a=4.848 b=4.848 c=8.474 alpha=90.00 beta=73.38 gamma=120.00
Element x y z (fractional)
Co 0.839 0.420 0.244
Co 0.661 0.580 0.758
Co 0.333 0.666 0.001
Co 0.661 0.081 0.758
Zr 0.726 0.863 0.411
Co 0.666 0.333 0.000
Co 0.337 0.917 0.244
Zr 0.000 0.000 0.001
Y 0.279 0.140 0.581
Co 0.337 0.420 0.244
Co 0.001 0.500 0.499
Co 0.160 0.580 0.758

Properties
As for the formation energy: -0.177 eV/atom. Its total energy is -7.472 eV per atom. The calculated volume is 162.80 Å³/cell.

The following is a DFT calculation (PBE) of crystalline Zn13Co at its relaxed geometry.

Unit cell a=6.617 b=6.617 c=5.058 alpha=80.65 beta=80.65 gamma=70.19
Element x y z (fractional)
Zn 0.997 0.355 0.199
Zn 0.784 0.371 0.683
Zn 0.629 0.216 0.317
Zn 0.000 0.000 0.000
Zn 0.003 0.645 0.801
Zn 0.387 0.387 0.930
Zn 0.355 0.997 0.199
Zn 0.371 0.784 0.683
Zn 0.645 0.003 0.801
Zn 0.221 0.221 0.628
Zn 0.779 0.779 0.372
Zn 0.216 0.629 0.317
Co 0.000 0.000 0.500
Zn 0.613 0.613 0.070

Properties
As for the formation energy: -0.057 eV/atom. Its total energy is -1.735 eV per atom. The calculated volume is 204.22 Å³/cell.

The following is a DFT calculation (PBE) of crystalline Zn53Co7 at its relaxed geometry.

Unit cell a=7.719 b=11.251 c=11.265 alpha=60.19 beta=90.00 gamma=90.00
Element x y z (fractional)
Zn 0.744 0.159 0.068
Co 0.899 0.860 0.716
Zn 0.893 0.576 0.156
Zn 0.564 0.428 0.886
Zn 0.395 0.190 0.027
Zn 0.427 0.111 0.517
Zn 0.696 0.483 0.625
Zn 0.066 0.500 0.000
Zn 0.897 0.687 0.427
Zn 0.226 0.268 0.576
Zn 0.721 0.217 0.811
Zn 0.762 0.629 0.889
Zn 0.721 0.783 0.189
Zn 0.241 0.000 0.000
Zn 0.564 0.572 0.114
Zn 0.733 0.000 0.500
Zn 0.069 0.661 0.723
Co 0.566 0.716 0.425
Zn 0.696 0.517 0.375
Zn 0.737 0.069 0.688
Zn 0.095 0.516 0.372
Co 0.233 0.424 0.860
Zn 0.737 0.722 0.616
Zn 0.737 0.278 0.384
Zn 0.395 0.810 0.973
Zn 0.059 0.971 0.222
Zn 0.226 0.732 0.424
Zn 0.081 0.231 0.837
Co 0.570 0.000 0.000
Co 0.899 0.140 0.284
Zn 0.070 0.244 0.069
Zn 0.029 0.891 0.485
Co 0.566 0.284 0.575
Zn 0.427 0.889 0.483
Zn 0.070 0.756 0.931
Zn 0.419 0.067 0.774
Zn 0.404 0.687 0.243
Co 0.233 0.576 0.140
Zn 0.403 0.616 0.661
Zn 0.362 0.375 0.108
Zn 0.095 0.484 0.628
Zn 0.762 0.371 0.111
Zn 0.560 0.843 0.732
Zn 0.737 0.931 0.312
Zn 0.362 0.625 0.892
Zn 0.069 0.339 0.277
Zn 0.419 0.933 0.226
Zn 0.897 0.313 0.573
Zn 0.893 0.424 0.844
Zn 0.899 0.000 0.000
Zn 0.403 0.384 0.339
Zn 0.744 0.841 0.932
Zn 0.560 0.157 0.268
Zn 0.059 0.029 0.778
Zn 0.081 0.769 0.163
Zn 0.404 0.313 0.757
Zn 0.231 0.113 0.313
Zn 0.029 0.109 0.515
Zn 0.231 0.887 0.687
Zn 0.400 0.500 0.500

Properties
As for the formation energy: -0.090 eV/atom. Its total energy is -2.032 eV per atom. The calculated volume is 848.86 Å³/cell.